P | Pm3Sm | meta-GGA r2SCAN | optimized geometry

Cell and atoms, written as CIF:
```
data_Pm3Sm
_chemical_formula_sum 'Pm6 Sm2'
_space_group_name_H-M_alt 'I 4/m m m'
_space_group_IT_number 139
_space_group_name_Hall '-I 4 2'
_cell_length_a 5.1586
_cell_length_b 5.1586
_cell_length_c 10.3382
_cell_angle_alpha 90.00
_cell_angle_beta 90.00
_cell_angle_gamma 90.00
loop_
_atom_site_label
_atom_site_type_symbol
_atom_site_fract_x
_atom_site_fract_y
_atom_site_fract_z
_atom_site_occupancy
Pm1 Pm 0.0000 0.0000 0.0000 1
Pm2 Pm 0.0000 0.5000 0.2500 1
Sm1 Sm 0.0000 0.0000 0.5000 1
```



Q | Pm3Sm | meta-GGA r2SCAN | optimized geometry

Cell and atoms, written as CIF:
```
data_Pm3Sm
_chemical_formula_sum 'Pm3 Sm1'
_space_group_name_H-M_alt 'P m -3 m'
_space_group_IT_number 221
_space_group_name_Hall '-P 4 2 3'
_cell_length_a 5.1577
_cell_length_b 5.1577
_cell_length_c 5.1577
_cell_angle_alpha 90.00
_cell_angle_beta 90.00
_cell_angle_gamma 90.00
loop_
_atom_site_label
_atom_site_type_symbol
_atom_site_fract_x
_atom_site_fract_y
_atom_site_fract_z
_atom_site_occupancy
Pm1 Pm 0.0000 0.0000 0.5000 1
Sm1 Sm 0.5000 0.5000 0.5000 1
```



Order from most stable to least stable according to the calculation: P, Q



P | Pr | meta-GGA r2SCAN | optimized geometry

Cell and atoms, written as CIF:
```
data_Pr
_chemical_formula_sum 'Pr3'
_space_group_name_H-M_alt 'P 32 2 1'
_space_group_IT_number 154
_cell_length_a 3.7256
_cell_length_b 3.7256
_cell_length_c 9.1495
_cell_angle_alpha 90.00
_cell_angle_beta 90.00
_cell_angle_gamma 120.00
loop_
_space_group_symop_operation_xyz
'x,y,z'
'-y,x-y,z+2/3'
'-x+y,-x,z+1/3'
'y,x,-z'
'x-y,-y,-z+1/3'
'-x,-x+y,-z+2/3'
loop_
_atom_site_label
_atom_site_type_symbol
_atom_site_fract_x
_atom_site_fract_y
_atom_site_fract_z
_atom_site_occupancy
Pr1 Pr 0.0000 0.3206 0.3333 1
```



Q | Pr | meta-GGA r2SCAN | optimized geometry

Cell and atoms, written as CIF:
```
data_Pr
_chemical_formula_sum 'Pr4'
_space_group_name_H-M_alt 'C m c m'
_space_group_IT_number 63
_space_group_name_Hall '-C 2c 2'
_cell_length_a 3.7868
_cell_length_b 6.5754
_cell_length_c 5.9512
_cell_angle_alpha 90.00
_cell_angle_beta 90.00
_cell_angle_gamma 90.00
loop_
_atom_site_label
_atom_site_type_symbol
_atom_site_fract_x
_atom_site_fract_y
_atom_site_fract_z
_atom_site_occupancy
Pr1 Pr 0.0000 0.1654 0.2500 1
```



R | Pr | meta-GGA r2SCAN | optimized geometry

Cell and atoms, written as CIF:
```
data_Pr
_chemical_formula_sum 'Pr2'
_space_group_name_H-M_alt 'I 4/m m m'
_space_group_IT_number 139
_space_group_name_Hall '-I 4 2'
_cell_length_a 4.3889
_cell_length_b 4.3889
_cell_length_c 3.7719
_cell_angle_alpha 90.00
_cell_angle_beta 90.00
_cell_angle_gamma 90.00
loop_
_atom_site_label
_atom_site_type_symbol
_atom_site_fract_x
_atom_site_fract_y
_atom_site_fract_z
_atom_site_occupancy
Pr1 Pr 0.0000 0.0000 0.0000 1
```



S | Pr | meta-GGA r2SCAN | optimized geometry

Cell and atoms, written as CIF:
```
data_Pr
_chemical_formula_sum 'Pr9'
_space_group_name_H-M_alt 'R -3 m'
_space_group_IT_number 166
_space_group_name_Hall '-R 3 2"'
_cell_length_a 3.7598
_cell_length_b 3.7598
_cell_length_c 26.9902
_cell_angle_alpha 90.00
_cell_angle_beta 90.00
_cell_angle_gamma 120.00
loop_
_atom_site_label
_atom_site_type_symbol
_atom_site_fract_x
_atom_site_fract_y
_atom_site_fract_z
_atom_site_occupancy
Pr1 Pr 0.0000 0.0000 0.0000 1
Pr2 Pr 0.0000 0.0000 0.2228 1
```



Order from most stable to least stable according to the calculation: S, P, Q, R



P | PrSm3 | meta-GGA r2SCAN | optimized geometry

Cell and atoms, written as CIF:
```
data_PrSm3
_chemical_formula_sum 'Pr1 Sm3'
_space_group_name_H-M_alt 'P m -3 m'
_space_group_IT_number 221
_space_group_name_Hall '-P 4 2 3'
_cell_length_a 5.1651
_cell_length_b 5.1651
_cell_length_c 5.1651
_cell_angle_alpha 90.00
_cell_angle_beta 90.00
_cell_angle_gamma 90.00
loop_
_atom_site_label
_atom_site_type_symbol
_atom_site_fract_x
_atom_site_fract_y
_atom_site_fract_z
_atom_site_occupancy
Pr1 Pr 0.0000 0.0000 0.0000 1
Sm1 Sm 0.0000 0.5000 0.5000 1
```



Q | PrSm3 | meta-GGA r2SCAN | optimized geometry

Cell and atoms, written as CIF:
```
data_PrSm3
_chemical_formula_sum 'Pr2 Sm6'
_space_group_name_H-M_alt 'I 4/m m m'
_space_group_IT_number 139
_space_group_name_Hall '-I 4 2'
_cell_length_a 5.1868
_cell_length_b 5.1868
_cell_length_c 10.2613
_cell_angle_alpha 90.00
_cell_angle_beta 90.00
_cell_angle_gamma 90.00
loop_
_atom_site_label
_atom_site_type_symbol
_atom_site_fract_x
_atom_site_fract_y
_atom_site_fract_z
_atom_site_occupancy
Pr1 Pr 0.0000 0.0000 0.0000 1
Sm1 Sm 0.0000 0.0000 0.5000 1
Sm2 Sm 0.0000 0.5000 0.2500 1
```



Order from most stable to least stable according to the calculation: Q, P



P | Tb3Pr | meta-GGA r2SCAN | optimized geometry

Cell and atoms, written as CIF:
```
data_Tb3Pr
_chemical_formula_sum 'Tb6 Pr2'
_space_group_name_H-M_alt 'P 63/m m c'
_space_group_IT_number 194
_space_group_name_Hall '-P 6c 2c'
_cell_length_a 7.3481
_cell_length_b 7.3481
_cell_length_c 5.8693
_cell_angle_alpha 90.00
_cell_angle_beta 90.00
_cell_angle_gamma 120.00
loop_
_atom_site_label
_atom_site_type_symbol
_atom_site_fract_x
_atom_site_fract_y
_atom_site_fract_z
_atom_site_occupancy
Tb1 Tb 0.1637 0.3274 0.2500 1
Pr1 Pr 0.3333 0.6667 0.7500 1
```



Q | Tb3Pr | meta-GGA r2SCAN | optimized geometry

Cell and atoms, written as CIF:
```
data_Tb3Pr
_chemical_formula_sum 'Tb6 Pr2'
_space_group_name_H-M_alt 'I 4/m m m'
_space_group_IT_number 139
_space_group_name_Hall '-I 4 2'
_cell_length_a 5.1083
_cell_length_b 5.1083
_cell_length_c 10.1569
_cell_angle_alpha 90.00
_cell_angle_beta 90.00
_cell_angle_gamma 90.00
loop_
_atom_site_label
_atom_site_type_symbol
_atom_site_fract_x
_atom_site_fract_y
_atom_site_fract_z
_atom_site_occupancy
Tb1 Tb 0.0000 0.0000 0.0000 1
Tb2 Tb 0.0000 0.5000 0.2500 1
Pr1 Pr 0.0000 0.0000 0.5000 1
```



Order from most stable to least stable according to the calculation: P, Q